ZnCoAs2O7 | PBE+U | relaxed

Results
total DFT energy (no corrections) = -0.4269 Ry/atom
SG = P2_1/c

```
ZnCoAs2O7
1.0
-1.8878 5.7609 -6.3195
2.8017 -4.5851 -5.0168
-6.4284 -6.1849 -3.7178
O As Co Zn
28 8 4 4
Direct
0.7372 0.3644 0.2131 O
0.4222 0.9609 0.1731 O
0.1038 0.0402 0.1088 O
0.1522 0.2490 0.4158 O
0.9065 0.6354 0.2888 O
0.2265 0.8559 0.4474 O
0.0988 0.4634 0.1049 O
0.5778 0.0391 0.8269 O
0.7628 0.3644 0.7131 O
0.6038 0.9598 0.3912 O
0.3962 0.0402 0.6088 O
0.2372 0.6356 0.2869 O
0.4065 0.3646 0.2112 O
0.9012 0.5366 0.8951 O
0.3478 0.2490 0.9158 O
0.2628 0.6356 0.7869 O
0.7735 0.1441 0.5526 O
0.5988 0.5366 0.3951 O
0.7265 0.1441 0.0526 O
0.0778 0.9609 0.6731 O
0.6522 0.7510 0.0842 O
0.9222 0.0391 0.3269 O
0.4012 0.4634 0.6049 O
0.2735 0.8559 0.9474 O
0.8962 0.9598 0.8912 O
0.5935 0.6354 0.7888 O
0.0935 0.3646 0.7112 O
0.8478 0.7510 0.5842 O
0.7687 0.5689 0.7556 As
0.2687 0.4311 0.7444 As
0.7208 0.9893 0.9580 As
0.7792 0.9893 0.4580 As
0.2792 0.0107 0.0420 As
0.2313 0.4311 0.2444 As
0.2208 0.0107 0.5420 As
0.7313 0.5689 0.2556 As
0.4405 0.8168 0.8116 Co
0.0595 0.8168 0.3116 Co
0.5595 0.1832 0.1884 Co
0.9405 0.1832 0.6884 Co
0.9197 0.2809 0.1109 Zn
0.4197 0.7191 0.3891 Zn
0.0803 0.7191 0.8891 Zn
0.5803 0.2809 0.6109 Zn
```

SrV2ZnO7 | PBE+U | relaxed

Results
total DFT energy (no corrections) = -0.5045 Ry/atom
SG = P2_1/c

```
SrV2ZnO7
1.0
-2.9685 1.2167 -5.9648
6.2337 -2.4315 -3.5983
0.7541 -13.2506 -3.0781
V Sr O Zn
8 4 28 4
Direct
0.1562 0.2174 0.0385 V
0.3438 0.2174 0.5385 V
0.4113 0.3060 0.2796 V
0.5887 0.6940 0.7204 V
0.0887 0.3060 0.7796 V
0.6562 0.7826 0.4615 V
0.8438 0.7826 0.9615 V
0.9113 0.6940 0.2204 V
0.3506 0.7688 0.9763 Sr
0.6494 0.2312 0.0237 Sr
0.8506 0.2312 0.5237 Sr
0.1494 0.7688 0.4763 Sr
0.1960 0.4151 0.5056 O
0.0067 0.2525 0.9198 O
0.0891 0.7716 0.2819 O
0.8024 0.8301 0.6942 O
0.6976 0.8301 0.1942 O
0.6960 0.5849 0.9944 O
0.6761 0.9823 0.9200 O
0.8239 0.9823 0.4200 O
0.4109 0.7716 0.7819 O
0.1310 0.5589 0.6994 O
0.1761 0.0177 0.5800 O
0.5285 0.2025 0.6290 O
0.4933 0.2525 0.4198 O
0.9933 0.7475 0.0802 O
0.4715 0.7975 0.3710 O
0.1976 0.1699 0.3058 O
0.9715 0.2025 0.1290 O
0.3040 0.4151 0.0056 O
0.6310 0.4411 0.8006 O
0.8040 0.5849 0.4944 O
0.5891 0.2284 0.2181 O
0.3239 0.0177 0.0800 O
0.0285 0.7975 0.8710 O
0.9109 0.2284 0.7181 O
0.3690 0.5589 0.1994 O
0.5067 0.7475 0.5802 O
0.3024 0.1699 0.8058 O
0.8690 0.4411 0.3006 O
0.3922 0.7896 0.2329 Zn
0.8922 0.2104 0.2671 Zn
0.1078 0.7896 0.7329 Zn
0.6078 0.2104 0.7671 Zn
```

Ti13Fe15O42 | PBE+U | relaxed

Results
total DFT energy (no corrections) = -0.5616 Ry/atom
SG = P1

```
Ti13Fe15O42
1.0
-1.7680 -8.8588 1.6190
1.7641 -3.3167 -8.0795
9.9355 0.6584 0.3011
Fe O Ti
15 42 13
Direct
0.1355 0.3750 0.6001 Fe
0.7259 0.9080 0.8304 Fe
0.8427 0.9511 0.4546 Fe
0.0079 0.3405 0.9706 Fe
0.2798 0.0906 0.1735 Fe
0.5646 0.5251 0.3168 Fe
0.7063 0.2354 0.8834 Fe
0.8696 0.6212 0.4027 Fe
0.4203 0.8078 0.7405 Fe
0.9881 0.6657 0.0267 Fe
0.1493 0.0527 0.5433 Fe
0.5806 0.1903 0.2583 Fe
0.4362 0.4804 0.6868 Fe
0.5105 0.8354 0.4735 Fe
0.2952 0.7656 0.1183 Fe
0.5036 0.9473 0.8811 O
0.6428 0.7641 0.6902 O
0.7861 0.3764 0.0222 O
0.2201 0.6284 0.9823 O
0.1794 0.8585 0.7210 O
0.0748 0.8049 0.1626 O
0.9029 0.4239 0.5835 O
0.2155 0.5188 0.7463 O
0.0383 0.1438 0.1487 O
0.2482 0.2820 0.9956 O
0.6763 0.4292 0.7057 O
0.5119 0.4156 0.1241 O
0.4659 0.2857 0.8658 O
0.6133 0.0059 0.4378 O
0.7498 0.7126 0.0117 O
0.2301 0.9722 0.9837 O
0.7837 0.4816 0.2568 O
0.9204 0.7279 0.5930 O
0.9305 0.0901 0.5998 O
0.6325 0.3014 0.4484 O
0.5203 0.7193 0.1304 O
0.3220 0.5754 0.2881 O
0.0656 0.9082 0.3991 O
0.7746 0.0137 0.0206 O
0.3512 0.3377 0.5438 O
0.9403 0.5593 0.8412 O
0.3869 0.0015 0.5608 O
0.4875 0.5844 0.8783 O
0.0600 0.4429 0.1638 O
0.3650 0.6977 0.5531 O
0.1032 0.5741 0.4178 O
0.3587 0.2369 0.3125 O
0.5018 0.0520 0.1167 O
0.3378 0.8699 0.2934 O
0.9584 0.8598 0.8470 O
0.2052 0.1550 0.7400 O
0.7958 0.8418 0.2637 O
0.8194 0.1435 0.2725 O
0.0816 0.2674 0.4088 O
0.6526 0.1321 0.6957 O
0.6527 0.6533 0.4559 O
0.9294 0.1927 0.8322 O
0.4910 0.1611 0.5276 Ti
0.7737 0.5930 0.6678 Ti
0.3474 0.4484 0.9574 Ti
0.6366 0.8768 0.0993 Ti
0.6516 0.5476 0.0433 Ti
0.2231 0.4085 0.3302 Ti
0.0611 0.0219 0.8119 Ti
0.7946 0.2659 0.6148 Ti
0.2052 0.7374 0.3851 Ti
0.0790 0.6947 0.7577 Ti
0.9374 0.9832 0.1852 Ti
0.3699 0.1202 0.9035 Ti
0.9207 0.3078 0.2414 Ti
```

Ca2V3Ni2AgO12 | PBE+U | relaxed

Results
total DFT energy (no corrections) = -0.4872 Ry/atom
SG = I4_1/acd

```
Ca2V3Ni2AgO12
1.0
-6.2918 6.2918 6.2729
6.2918 -6.2918 6.2729
6.2918 6.2918 -6.2729
O V Ca Ag Ni
48 12 8 4 8
Direct
0.7410 0.9821 0.1647 O
0.9238 0.6826 0.1647 O
0.5270 0.4821 0.8461 O
0.3174 0.4821 0.2411 O
0.0402 0.4793 0.8702 O
0.9326 0.2679 0.2589 O
0.3262 0.0674 0.3353 O
0.2410 0.0762 0.7589 O
0.9309 0.2770 0.5449 O
0.2293 0.2902 0.3702 O
0.1140 0.7679 0.5449 O
0.5179 0.7590 0.8353 O
0.2230 0.5691 0.4551 O
0.8262 0.4910 0.2589 O
0.8191 0.8640 0.8461 O
0.7321 0.3860 0.4551 O
0.7098 0.0800 0.9391 O
0.5179 0.3640 0.0449 O
0.7321 0.9910 0.6647 O
0.3300 0.8909 0.8702 O
0.2321 0.7770 0.3461 O
0.0207 0.4598 0.1298 O
0.6409 0.5800 0.3702 O
0.0090 0.6738 0.7411 O
0.6091 0.1700 0.1298 O
0.6360 0.6809 0.1539 O
0.1409 0.7707 0.0609 O
0.3191 0.4730 0.9551 O
0.0179 0.9730 0.1539 O
0.4200 0.7902 0.0609 O
0.6140 0.0691 0.3461 O
0.0270 0.1809 0.0449 O
0.7230 0.2679 0.6539 O
0.9200 0.8591 0.6298 O
0.1360 0.9821 0.9551 O
0.7293 0.3591 0.9391 O
0.8300 0.9598 0.4391 O
0.2098 0.2707 0.6298 O
0.4309 0.8860 0.6539 O
0.4326 0.1738 0.6647 O
0.4238 0.2590 0.2411 O
0.5090 0.7679 0.3353 O
0.5402 0.6700 0.5609 O
0.0179 0.1826 0.7589 O
0.2321 0.5674 0.7411 O
0.8174 0.5762 0.8353 O
0.5207 0.3909 0.5609 O
0.1091 0.9793 0.4391 O
0.3750 0.2512 0.3762 V
0.2488 0.1250 0.6238 V
0.8750 0.4988 0.1238 V
0.0012 0.6250 0.8762 V
0.7500 0.2500 0.5000 V
0.5012 0.6250 0.3762 V
0.5000 0.5000 0.0000 V
0.7488 0.1250 0.1238 V
0.2500 0.7500 0.5000 V
0.3750 0.7512 0.8762 V
0.8750 0.9988 0.6238 V
0.0000 0.0000 0.0000 V
0.8750 0.7480 0.3730 Ca
0.9980 0.1250 0.3730 Ca
0.8750 0.2480 0.8730 Ca
0.7520 0.6250 0.6270 Ca
0.3750 0.0020 0.1270 Ca
0.2520 0.6250 0.1270 Ca
0.3750 0.5020 0.6270 Ca
0.4980 0.1250 0.8730 Ca
0.7500 0.7500 0.0000 Ag
0.0000 0.5000 0.5000 Ag
0.2500 0.2500 0.0000 Ag
0.5000 0.0000 0.5000 Ag
0.1250 0.3750 0.7500 Ni
0.1250 0.3750 0.2500 Ni
0.6250 0.8750 0.2500 Ni
0.6250 0.3750 0.2500 Ni
0.1250 0.8750 0.2500 Ni
0.6250 0.8750 0.7500 Ni
0.1250 0.8750 0.7500 Ni
0.6250 0.3750 0.7500 Ni
```

Li3V2P4H2O16 | PBE+U | relaxed

Results
total DFT energy (no corrections) = -0.5050 Ry/atom
SG = P1
relative energy among the computed polymorphs = 1.73 eV per formula unit

```
Li3V2P4H2O16
1.0
7.8855 0.0000 0.0000
-0.0063 8.0768 0.0000
-3.6574 -0.0118 9.0549
P O V H Li
8 32 4 4 6
Direct
0.7651 0.1596 0.0641 P
0.2314 0.8476 0.4311 P
0.7601 0.1496 0.5687 P
0.2685 0.3450 0.5663 P
0.2636 0.3533 0.0673 P
0.7399 0.6511 0.4325 P
0.2326 0.8519 0.9316 P
0.7325 0.6552 0.9330 P
0.8402 0.5510 0.8598 O
0.6651 0.0545 0.1416 O
0.1448 0.3271 0.3987 O
0.3410 0.9513 0.3593 O
0.3509 0.8263 0.5993 O
0.9375 0.0444 0.5975 O
0.8566 0.5501 0.3626 O
0.1622 0.4460 0.6425 O
0.6861 0.8261 0.8552 O
0.3109 0.1875 0.1477 O
0.8519 0.6715 0.5989 O
0.1400 0.3310 0.9051 O
0.6896 0.8155 0.3498 O
0.1574 0.4599 0.1469 O
0.5537 0.5591 0.9056 O
0.5564 0.5572 0.4047 O
0.3179 0.1699 0.6330 O
0.6434 0.1685 0.4049 O
0.8216 0.3306 0.1353 O
0.1900 0.6750 0.3552 O
0.4454 0.4440 0.5933 O
0.4378 0.4592 0.0912 O
0.6541 0.0434 0.6471 O
0.9457 0.0594 0.0904 O
0.0528 0.9423 0.4028 O
0.0533 0.9420 0.9091 O
0.8079 0.3165 0.6472 O
0.3518 0.9529 0.8600 O
0.3544 0.8314 0.0971 O
0.6442 0.1771 0.8977 O
0.8522 0.6763 0.1006 O
0.1911 0.6850 0.8502 O
0.4899 0.0019 0.7493 V
0.9979 0.4998 0.2509 V
0.0026 0.4953 0.7521 V
0.5017 0.0063 0.2501 V
0.9824 0.0078 0.5145 H
0.4886 0.5012 0.0069 H
0.5168 0.5052 0.4884 H
0.9950 0.0089 0.0037 H
0.8519 0.8656 0.7291 Li
0.6534 0.3699 0.7716 Li
0.3469 0.6306 0.7247 Li
0.3547 0.6369 0.2230 Li
0.8449 0.8696 0.2270 Li
0.1554 0.1330 0.2757 Li
```

SrCoAsHO5 | PBE+U | relaxed

Results
total DFT energy (no corrections) = -0.4507 Ry/atom
SG = P2_12_12_1

```
SrCoAsHO5
1.0
-6.0232 0.5913 1.0003
-1.2366 0.3242 -7.6377
-0.9497 -9.2684 -0.2396
Sr O H Co As
4 20 4 4 4
Direct
0.4736 0.6345 0.3336 Sr
0.9736 0.8655 0.6664 Sr
0.5264 0.1345 0.1664 Sr
0.0264 0.3655 0.8336 Sr
0.0077 0.5595 0.0701 O
0.2404 0.8928 0.2035 O
0.2308 0.3600 0.2782 O
0.9345 0.2122 0.0725 O
0.4969 0.6090 0.0674 O
0.2596 0.1072 0.7035 O
0.7596 0.3928 0.2965 O
0.2692 0.6400 0.7782 O
0.7308 0.1400 0.7218 O
0.0031 0.3910 0.5674 O
0.4345 0.2878 0.9275 O
0.5077 0.9405 0.9299 O
0.7692 0.8600 0.2218 O
0.9969 0.8910 0.9326 O
0.4923 0.4405 0.5701 O
0.0655 0.7122 0.4275 O
0.9923 0.0595 0.4299 O
0.5655 0.7878 0.5725 O
0.5031 0.1090 0.4326 O
0.7404 0.6072 0.7965 O
0.5101 0.9988 0.4848 H
0.9899 0.0012 0.9848 H
0.0101 0.5012 0.5152 H
0.4899 0.4988 0.0152 H
0.7429 0.2584 0.5063 Co
0.7571 0.7416 0.0063 Co
0.2429 0.2416 0.4937 Co
0.2571 0.7584 0.9937 Co
0.5133 0.6173 0.6862 As
0.0133 0.8827 0.3137 As
0.9867 0.3827 0.1862 As
0.4867 0.1173 0.8138 As
```

| no. | energy with MP2020 corrections (eV for the cell shown) | calculated formation energy (eV per atom) |
| --- | --- | --- |
| 1 | -281.3 | -1.6373 |
| 2 | -334.9 | -2.5422 |
| 3 | -597.6 | -2.2867 |
| 4 | -604.0 | -2.2978 |
| 5 | -399.8 | -2.5341 |
| 6 | -241.0 | -2.0747 |